(1)
# K3Mg2Cl7 r²SCAN relaxed
# DFT formation energy in eV/f.u.: -25.65
data_K3Mg2Cl7
_cell_length_a 4.952
_cell_length_b 4.952
_cell_length_c 25.363
_cell_angle_alpha 90.00
_cell_angle_beta 90.00
_cell_angle_gamma 90.00
_space_group_name_H-M_alt 'I 4/m m m'
_space_group_IT_number 139
_space_group_name_Hall '-I 4 2'
loop_
_atom_site_label
_atom_site_type_symbol
_atom_site_fract_x
_atom_site_fract_y
_atom_site_fract_z
K1 K 0.000 0.000 0.000
K2 K 0.000 0.000 0.182
Mg1 Mg 0.000 0.000 0.401
Cl1 Cl 0.000 0.000 0.304
Cl2 Cl 0.000 0.000 0.500
Cl3 Cl 0.000 0.500 0.096


(2)
# CaI2O6 r²SCAN relaxed
# DFT formation energy in eV/f.u.: -10.47
data_CaI2O6
_cell_length_a 7.154
_cell_length_b 11.306
_cell_length_c 8.668
_cell_angle_alpha 90.00
_cell_angle_beta 126.53
_cell_angle_gamma 90.00
_space_group_name_H-M_alt 'P 1 21/c 1'
_space_group_IT_number 14
loop_
_space_group_symop_operation_xyz
'x,y,z'
'-x,-y,-z'
'-x,y+1/2,-z+1/2'
'x,-y+1/2,z+1/2'
loop_
_atom_site_label
_atom_site_type_symbol
_atom_site_fract_x
_atom_site_fract_y
_atom_site_fract_z
Ca1 Ca 0.229 0.099 0.006
I1 I 0.237 0.075 0.468
I2 I 0.315 0.715 0.552
O1 O 0.023 0.539 0.827
O2 O 0.055 0.206 0.377
O3 O 0.120 0.602 0.525
O4 O 0.377 0.093 0.348
O5 O 0.456 0.745 0.301
O6 O 0.471 0.109 0.906


(3)
# NbCr2 r²SCAN relaxed
# DFT formation energy in eV/f.u.: 0.52
data_NbCr2
_cell_length_a 4.8882
_cell_length_b 4.8882
_cell_length_c 8.0455
_cell_angle_alpha 90.00
_cell_angle_beta 90.00
_cell_angle_gamma 120.00
_space_group_name_H-M_alt 'P 63/m m c'
_space_group_IT_number 194
_space_group_name_Hall '-P 6c 2c'
loop_
_atom_site_label
_atom_site_type_symbol
_atom_site_fract_x
_atom_site_fract_y
_atom_site_fract_z
Nb1 Nb 0.3333 0.6667 0.0590
Cr1 Cr 0.0000 0.0000 0.0000
Cr2 Cr 0.1696 0.3392 0.7500


(4)
# Rb3BS3O12 r²SCAN relaxed
# DFT formation energy in eV/f.u.: -36.59
data_Rb3BS3O12
_cell_length_a 7.241
_cell_length_b 14.749
_cell_length_c 22.774
_cell_angle_alpha 90.00
_cell_angle_beta 90.00
_cell_angle_gamma 90.00
_space_group_name_H-M_alt 'I b c a'
_space_group_IT_number 73
_space_group_name_Hall '-I 2b 2c'
loop_
_atom_site_label
_atom_site_type_symbol
_atom_site_fract_x
_atom_site_fract_y
_atom_site_fract_z
Rb1 Rb 0.127 0.116 0.177
Rb2 Rb 0.250 0.055 0.500
B1 B 0.000 0.250 0.419
S1 S 0.136 0.125 0.343
S2 S 0.250 0.189 0.000
O1 O 0.015 0.166 0.887
O2 O 0.024 0.082 0.298
O3 O 0.107 0.137 0.027
O4 O 0.170 0.243 0.456
O5 O 0.240 0.060 0.378
O6 O 0.248 0.199 0.322


(5)
# KAsO3 r²SCAN relaxed
# DFT formation energy in eV/f.u.: -8.32
data_KAsO3
_cell_length_a 7.560
_cell_length_b 7.563
_cell_length_c 10.320
_cell_angle_alpha 85.73
_cell_angle_beta 68.75
_cell_angle_gamma 73.14
_space_group_name_H-M_alt 'P -1'
_space_group_IT_number 2
loop_
_space_group_symop_operation_xyz
'x,y,z'
'-x,-y,-z'
loop_
_atom_site_label
_atom_site_type_symbol
_atom_site_fract_x
_atom_site_fract_y
_atom_site_fract_z
K1 K 0.090 0.395 0.162
K2 K 0.246 0.262 0.497
K3 K 0.274 0.960 0.835
As1 As 0.169 0.859 0.205
As2 As 0.271 0.764 0.475
As3 As 0.471 0.481 0.801
O1 O 0.000 0.253 0.755
O2 O 0.115 0.640 0.543
O3 O 0.143 0.041 0.108
O4 O 0.194 0.928 0.358
O5 O 0.235 0.539 0.898
O6 O 0.334 0.882 0.571
O7 O 0.408 0.361 0.235
O8 O 0.411 0.712 0.120
O9 O 0.498 0.373 0.644


(6)
# Ti2FeOs r²SCAN relaxed
# DFT formation energy in eV/f.u.: -2.08
data_Ti2FeOs
_cell_length_a 6.047
_cell_length_b 6.047
_cell_length_c 6.047
_cell_angle_alpha 90.00
_cell_angle_beta 90.00
_cell_angle_gamma 90.00
_space_group_name_H-M_alt 'F m -3 m'
_space_group_IT_number 225
_space_group_name_Hall '-F 4 2 3'
loop_
_atom_site_label
_atom_site_type_symbol
_atom_site_fract_x
_atom_site_fract_y
_atom_site_fract_z
Ti1 Ti 0.250 0.250 0.250
Fe1 Fe 0.000 0.000 0.000
Os1 Os 0.000 0.000 0.500


(7)
# Zr2Ag r²SCAN relaxed
# DFT formation energy in eV/f.u.: -0.33
data_Zr2Ag
_cell_length_a 3.253
_cell_length_b 3.253
_cell_length_c 12.080
_cell_angle_alpha 90.00
_cell_angle_beta 90.00
_cell_angle_gamma 90.00
_space_group_name_H-M_alt 'I 4/m m m'
_space_group_IT_number 139
_space_group_name_Hall '-I 4 2'
loop_
_atom_site_label
_atom_site_type_symbol
_atom_site_fract_x
_atom_site_fract_y
_atom_site_fract_z
Zr1 Zr 0.000 0.000 0.163
Ag1 Ag 0.000 0.000 0.500


(8)
# Zr6Al2Fe r²SCAN relaxed
# DFT formation energy in eV/f.u.: -2.44
data_Zr6Al2Fe
_cell_length_a 7.9446
_cell_length_b 7.9446
_cell_length_c 3.3119
_cell_angle_alpha 90.00
_cell_angle_beta 90.00
_cell_angle_gamma 120.00
_space_group_name_H-M_alt 'P -6 2 m'
_space_group_IT_number 189
_space_group_name_Hall 'P -6 -2'
loop_
_atom_site_label
_atom_site_type_symbol
_atom_site_fract_x
_atom_site_fract_y
_atom_site_fract_z
Zr1 Zr 0.0000 0.2481 0.0000
Zr2 Zr 0.0000 0.6014 0.5000
Al1 Al 0.3333 0.6667 0.0000
Fe1 Fe 0.0000 0.0000 0.5000